Entry 1:
{
  "formula": "Cs3HoCl6",
  "functional": "PBE-GGA",
  "state": "relaxed",
  "cell": [[0.000, 5.951, 5.951], [5.951, 0.000, 5.951], [5.951, 5.951, 0.000]],
  "species": ["Cs", "Cs", "Cs", "Ho", "Cl", "Cl", "Cl", "Cl", "Cl", "Cl"],
  "fractional_positions": [[0.000, 0.000, 0.000], [0.250, 0.250, 0.250], [0.750, 0.750, 0.750], [0.500, 0.500, 0.500], [0.279, 0.279, 0.721], [0.279, 0.721, 0.279], [0.279, 0.721, 0.721], [0.721, 0.279, 0.279], [0.721, 0.279, 0.721], [0.721, 0.721, 0.279]],
  "spacegroup": "No. 225",
  "energy_corrected_mp2020_ev_per_atom": -4.3221
}



Entry 2:
{
  "formula": "Cs2KLuCl6",
  "functional": "PBE-GGA",
  "state": "relaxed",
  "cell": [[0.000, 5.619, 5.619], [5.619, 0.000, 5.619], [5.619, 5.619, 0.000]],
  "species": ["Cs", "Cs", "K", "Lu", "Cl", "Cl", "Cl", "Cl", "Cl", "Cl"],
  "fractional_positions": [[0.250, 0.250, 0.250], [0.750, 0.750, 0.750], [0.000, 0.000, 0.000], [0.500, 0.500, 0.500], [0.270, 0.270, 0.730], [0.270, 0.730, 0.270], [0.270, 0.730, 0.730], [0.730, 0.270, 0.270], [0.730, 0.270, 0.730], [0.730, 0.730, 0.270]],
  "spacegroup": "No. 225",
  "energy_corrected_mp2020_ev_per_atom": -4.3750
}



Entry 3:
{
  "formula": "NaPr2OsO6",
  "functional": "PBE-GGA",
  "state": "relaxed",
  "cell": [[5.602, 0.000, 0.000], [0.000, 6.012, 0.000], [-5.472, 0.000, 8.074]],
  "species": ["Na", "Na", "Pr", "Pr", "Pr", "Pr", "Os", "Os", "O", "O", "O", "O", "O", "O", "O", "O", "O", "O", "O", "O"],
  "fractional_positions": [[0.000, 0.000, 0.000], [0.000, 0.500, 0.500], [0.226, 0.070, 0.747], [0.226, 0.430, 0.247], [0.774, 0.570, 0.753], [0.774, 0.930, 0.253], [0.500, 0.000, 0.500], [0.500, 0.500, 0.000], [0.156, 0.173, 0.449], [0.156, 0.327, 0.949], [0.268, 0.719, 0.432], [0.268, 0.781, 0.932], [0.388, 0.050, 0.269], [0.388, 0.450, 0.769], [0.612, 0.550, 0.231], [0.612, 0.950, 0.731], [0.732, 0.219, 0.068], [0.732, 0.281, 0.568], [0.844, 0.673, 0.051], [0.844, 0.827, 0.551]],
  "spacegroup": "No. 14",
  "energy_corrected_mp2020_ev_per_atom": -7.8629
}



Entry 4:
{
  "formula": "YMg2",
  "functional": "PBE-GGA",
  "state": "relaxed",
  "cell": [[12.809, 0.000, 0.000], [0.000, 3.307, 0.000], [-2.066, 0.000, 7.545]],
  "species": ["Y", "Y", "Y", "Y", "Mg", "Mg", "Mg", "Mg", "Mg", "Mg", "Mg", "Mg"],
  "fractional_positions": [[0.189, 0.000, 0.140], [0.311, 0.500, 0.860], [0.689, 0.500, 0.140], [0.811, 0.000, 0.860], [0.031, 0.500, 0.797], [0.134, 0.000, 0.524], [0.366, 0.500, 0.476], [0.469, 0.000, 0.203], [0.531, 0.000, 0.797], [0.634, 0.500, 0.524], [0.866, 0.000, 0.476], [0.969, 0.500, 0.203]],
  "final_energy_ev_per_atom": -3.210,
  "spacegroup": "No. 12"
}



Entry 5:
{
  "formula": "CeSe2",
  "functional": "PBE-GGA",
  "state": "relaxed",
  "cell": [[4.905, 0.000, 0.000], [-2.453, 4.248, 0.000], [0.000, 0.000, 11.789]],
  "species": ["Ce", "Ce", "Ce", "Se", "Se", "Se", "Se", "Se", "Se"],
  "fractional_positions": [[0.000, 0.340, 0.333], [0.340, 0.000, 0.667], [0.660, 0.660, 0.000], [0.005, 0.334, 0.585], [0.329, 0.995, 0.919], [0.334, 0.005, 0.415], [0.666, 0.671, 0.252], [0.671, 0.666, 0.748], [0.995, 0.329, 0.081]],
  "spacegroup": "No. 154",
  "energy_corrected_mp2020_ev_per_atom": -6.2144
}



Entry 6:
{
  "formula": "Na2NpH2C3O9",
  "functional": "PBE-GGA",
  "state": "relaxed",
  "cell": [[6.952, 0.000, 0.000], [3.060, 7.872, 0.000], [2.847, 1.081, 8.218]],
  "species": ["Na", "Na", "Na", "Na", "Np", "Np", "H", "H", "H", "H", "C", "C", "C", "C", "C", "C", "O", "O", "O", "O", "O", "O", "O", "O", "O", "O", "O", "O", "O", "O", "O", "O", "O", "O"],
  "fractional_positions": [[0.010, 0.118, 0.290], [0.136, 0.463, 0.679], [0.864, 0.537, 0.321], [0.990, 0.882, 0.710], [0.467, 0.337, 0.226], [0.533, 0.663, 0.774], [0.181, 0.292, 0.001], [0.195, 0.148, 0.909], [0.805, 0.852, 0.091], [0.819, 0.708, 0.999], [0.201, 0.723, 0.343], [0.277, 0.770, 0.156], [0.416, 0.055, 0.566], [0.584, 0.945, 0.434], [0.723, 0.230, 0.844], [0.799, 0.277, 0.657], [0.118, 0.840, 0.431], [0.141, 0.272, 0.911], [0.223, 0.312, 0.200], [0.227, 0.562, 0.394], [0.230, 0.922, 0.095], [0.295, 0.638, 0.745], [0.349, 0.215, 0.523], [0.357, 0.975, 0.706], [0.386, 0.639, 0.077], [0.614, 0.361, 0.923], [0.643, 0.025, 0.294], [0.651, 0.785, 0.477], [0.705, 0.362, 0.255], [0.770, 0.078, 0.905], [0.773, 0.438, 0.606], [0.777, 0.688, 0.800], [0.859, 0.728, 0.089], [0.882, 0.160, 0.569]],
  "spacegroup": "No. 2",
  "energy_corrected_mp2020_ev_per_atom": -7.6107
}